1.
# K4ZnAs2

A geometry-optimized K4ZnAs2 structure (r2SCAN, Materials Project).

Its formation energy from the elements is -0.5843 eV/atom.

It has space group R-3m (No. 166, hexagonal axes), with a = 5.7483 Å, b = 5.7483 Å, c = 26.7830 Å, α = 90.00°, β = 90.00° and γ = 120.00°. The inequivalent atoms are K at (0.0000, 0.0000, 0.1154), K at (0.0000, 0.0000, 0.2912), Zn at (0.0000, 0.0000, 0.5000) and As at (0.0000, 0.0000, 0.4145).

2.
# GdMnO3

A geometry-optimized GdMnO3 structure (r2SCAN, Materials Project).

Its formation energy from the elements is -3.0186 eV/atom.

It has space group Pnma (No. 62), with a = 5.6353 Å, b = 7.6201 Å, c = 5.3327 Å, α = 90.00°, β = 90.00° and γ = 90.00°. The inequivalent atoms are Gd at (0.0659, 0.2500, 0.0161), Mn at (0.0000, 0.0000, 0.5000), O at (0.0294, 0.7500, 0.4012) and O at (0.1944, 0.5507, 0.7964).

3.
# Sb2Rh

A geometry-optimized Sb2Rh structure (r2SCAN, Materials Project).

Its formation energy from the elements is -0.5086 eV/atom.

It has space group P2_1/c (No. 14), with a = 6.6538 Å, b = 6.6056 Å, c = 6.7335 Å, α = 90.00°, β = 116.13° and γ = 90.00°. The inequivalent atoms are Sb at (0.1506, 0.1361, 0.3731), Sb at (0.3451, 0.6378, 0.6756) and Rh at (0.2716, 0.0001, 0.7874).

4.
# NaNiO2

A geometry-optimized NaNiO2 structure (r2SCAN, Materials Project).

Its formation energy from the elements is -1.4109 eV/atom.

It has space group P-1 (No. 2), with a = 2.9958 Å, b = 4.9900 Å, c = 10.8069 Å, α = 102.80°, β = 96.36° and γ = 92.09°. The inequivalent atoms are Na at (0.0970, 0.4695, 0.2502), Na at (0.3692, 0.0307, 0.7501), Ni at (0.0000, 0.0000, 0.0000), Ni at (0.2502, 0.2502, 0.5000), Ni at (0.5000, 0.5000, 0.0000), O at (0.0881, 0.7253, 0.0966), O at (0.1744, 0.8807, 0.4025), O at (0.3293, 0.6192, 0.5978) and O at (0.4948, 0.2273, 0.0971).

5.
# SmIO

A geometry-optimized SmIO structure (r2SCAN, Materials Project).

Its formation energy from the elements is -3.0048 eV/atom.

It has space group P4/nmm (No. 129, origin choice 2), with a = 4.0214 Å, b = 4.0214 Å, c = 9.4432 Å, α = 90.00°, β = 90.00° and γ = 90.00°. The inequivalent atoms are Sm at (0.2500, 0.2500, 0.1203), I at (0.2500, 0.2500, 0.6782) and O at (0.2500, 0.7500, 0.0000).

6.
# LaBr3

A geometry-optimized LaBr3 structure (r2SCAN, Materials Project).

Its formation energy from the elements is -2.3105 eV/atom.

It has space group P6_3/m (No. 176), with a = 8.0540 Å, b = 8.0540 Å, c = 4.5103 Å, α = 90.00°, β = 90.00° and γ = 120.00°. The inequivalent atoms are La at (0.3333, 0.6667, 0.2500) and Br at (0.0868, 0.3866, 0.7500).

7.
# CsAsSe2

A geometry-optimized CsAsSe2 structure (r2SCAN, Materials Project).

Its formation energy from the elements is -0.7528 eV/atom.

It has space group P2_1/c (No. 14), with a = 7.2484 Å, b = 15.1335 Å, c = 11.3614 Å, α = 90.00°, β = 114.73° and γ = 90.00°. The inequivalent atoms are Cs at (0.1855, 0.2031, 0.0415), Cs at (0.2906, 0.6048, 0.0652), As at (0.0435, 0.5117, 0.3314), As at (0.4155, 0.5634, 0.6576), Se at (0.1595, 0.0914, 0.3499), Se at (0.2221, 0.0983, 0.7525), Se at (0.3081, 0.6217, 0.4364) and Se at (0.3248, 0.6786, 0.7572).

8.
# NbCl5

A geometry-optimized NbCl5 structure (r2SCAN, Materials Project).

Its formation energy from the elements is -1.3709 eV/atom.

It has space group C2/m (No. 12), with a = 18.9641 Å, b = 18.1777 Å, c = 6.0072 Å, α = 90.00°, β = 90.47° and γ = 90.00°. The inequivalent atoms are Nb at (0.0000, 0.1099, 0.0000), Nb at (0.1667, 0.3901, 0.4774), Cl at (0.0503, 0.0000, 0.2209), Cl at (0.0546, 0.1890, 0.2401), Cl at (0.0678, 0.4030, 0.2485), Cl at (0.0991, 0.0969, 0.7773), Cl at (0.1119, 0.3111, 0.7151), Cl at (0.1162, 0.5000, 0.6946), Cl at (0.2170, 0.5000, 0.2598), Cl at (0.2215, 0.3111, 0.2399) and Cl at (0.2343, 0.0969, 0.2941).

9.
# NaLaSe2O6

A geometry-optimized NaLaSe2O6 structure (r2SCAN, Materials Project).

Its formation energy from the elements is -1.9320 eV/atom.

It has space group P2_1/c (No. 14), with a = 6.6758 Å, b = 6.7656 Å, c = 13.5909 Å, α = 90.00°, β = 107.53° and γ = 90.00°. The inequivalent atoms are Na at (0.0760, 0.1683, 0.3824), La at (0.4934, 0.6189, 0.8361), Se at (0.0334, 0.1631, 0.1390), Se at (0.3765, 0.6479, 0.5678), O at (0.1228, 0.6628, 0.8314), O at (0.1330, 0.2098, 0.5562), O at (0.2511, 0.1725, 0.2451), O at (0.3033, 0.7180, 0.1599), O at (0.4541, 0.5156, 0.3548) and O at (0.4660, 0.1822, 0.4644).

10.
# Er3AlC

A geometry-optimized Er3AlC structure (r2SCAN, Materials Project).

Its formation energy from the elements is -0.5651 eV/atom.

It has space group Pm-3m (No. 221), with a = 4.8053 Å, b = 4.8053 Å, c = 4.8053 Å, α = 90.00°, β = 90.00° and γ = 90.00°. The inequivalent atoms are Er at (0.0000, 0.0000, 0.5000), Al at (0.5000, 0.5000, 0.5000) and C at (0.0000, 0.0000, 0.0000).

11.
# HoNiGe2

A geometry-optimized HoNiGe2 structure (r2SCAN, Materials Project).

Its formation energy from the elements is -0.7312 eV/atom.

It has space group Cmcm (No. 63), with a = 4.0597 Å, b = 16.7500 Å, c = 4.0797 Å, α = 90.00°, β = 90.00° and γ = 90.00°. The inequivalent atoms are Ho at (0.0000, 0.1082, 0.2500), Ni at (0.0000, 0.3223, 0.2500), Ge at (0.0000, 0.2507, 0.7500) and Ge at (0.0000, 0.4580, 0.2500).

12.
# CeCuSi2Pd

A geometry-optimized CeCuSi2Pd structure (r2SCAN, Materials Project).

Its formation energy from the elements is -0.7743 eV/atom.

It has space group I-4m2 (No. 119), with a = 4.1459 Å, b = 4.1459 Å, c = 9.9640 Å, α = 90.00°, β = 90.00° and γ = 90.00°. The inequivalent atoms are Ce at (0.0000, 0.0000, 0.0000), Cu at (0.0000, 0.5000, 0.7500), Si at (0.0000, 0.0000, 0.3807) and Pd at (0.0000, 0.5000, 0.2500).